[1]
The following is a DFT calculation (PBE with a Hubbard U) of a relaxed structure of GdMnGe2O7.

Computed properties:
**Calculated formation energy**: -2.5339 eV per atom
**Energy**: -177.031 eV for the cell shown
**Calculated volume**: 11.9 A^3/atom

Lattice parameters (Å, degrees): 7.9109 7.9109 4.8134 90.00 90.00 119.47
Fractional positions:
Gd  0.0000  0.0000  0.0000
Gd  0.5000  0.5000  0.0000
Mn  0.2502  0.7498  0.0000
Mn  0.7498  0.2502  0.0000
Ge  0.1138  0.3867  0.4801
Ge  0.3867  0.1138  0.5199
Ge  0.6133  0.8862  0.5199
Ge  0.8862  0.6133  0.4801
O  0.0000  0.5000  0.6855
O  0.0668  0.7771  0.2416
O  0.2035  0.2964  0.7396
O  0.2229  0.9332  0.7584
O  0.2788  0.5679  0.2430
O  0.2964  0.2035  0.2604
O  0.4321  0.7212  0.7570
O  0.5000  0.0000  0.3145
O  0.5679  0.2788  0.7570
O  0.7036  0.7965  0.2604
O  0.7212  0.4321  0.2430
O  0.7771  0.0668  0.7584
O  0.7965  0.7036  0.7396
O  0.9332  0.2229  0.2416

=====

[2]
The following is a DFT calculation (PBE with a Hubbard U) of a relaxed structure of Gd2GeMoO8.

Computed properties:
**Calculated formation energy**: -2.9048 eV per atom
**Energy**: -109.365 eV for the cell shown
**Calculated volume**: 12.7 A^3/atom

Lattice parameters (Å, degrees): 6.7386 6.7386 6.7386 134.64 134.64 66.09
Fractional positions:
Gd  0.0000  0.0000  0.0000
Gd  0.7500  0.2500  0.5000
Ge  0.5000  0.5000  0.0000
Mo  0.2500  0.7500  0.5000
O  0.0159  0.4103  0.0882
O  0.0723  0.9841  0.3944
O  0.1717  0.5785  0.9209
O  0.3220  0.9277  0.9118
O  0.4215  0.3424  0.5932
O  0.5897  0.6780  0.6056
O  0.6576  0.2508  0.0791
O  0.7492  0.8283  0.4068

=====

[3]
The following is a DFT calculation (PBE with a Hubbard U) of a relaxed structure of K2RbGdMgV2O8.

Computed properties:
**Calculated formation energy**: -2.5189 eV per atom
**Energy**: -105.516 eV for the cell shown
**Calculated volume**: 17.4 A^3/atom

Lattice parameters (Å, degrees): 6.2465 6.2465 7.8851 95.42 95.42 58.39
Fractional positions:
K  0.0000  0.0000  0.0000
K  0.7412  0.7412  0.3418
Rb  0.2851  0.2851  0.7339
Gd  0.3417  0.3417  0.1781
Mg  0.5170  0.5170  0.5325
V  0.0393  0.0393  0.4544
V  0.6547  0.6547  0.9244
O  0.0312  0.0312  0.6723
O  0.1861  0.1861  0.3669
O  0.2181  0.6922  0.3801
O  0.5051  0.5051  0.0016
O  0.5103  0.9779  0.0229
O  0.6606  0.6606  0.6935
O  0.6922  0.2181  0.3801
O  0.9779  0.5103  0.0229

=====

[4]
The following is a DFT calculation (PBE with a Hubbard U) of a relaxed structure of KSrGdMnO6.

Computed properties:
**Calculated formation energy**: -2.3961 eV per atom
**Energy**: -73.897 eV for the cell shown
**Calculated volume**: 14.3 A^3/atom

Lattice parameters (Å, degrees): 5.8668 5.8668 5.8668 60.00 60.00 60.00
Fractional positions:
K  0.0000  0.0000  0.0000
Sr  0.5000  0.5000  0.5000
Gd  0.2500  0.2500  0.2500
Mn  0.7500  0.7500  0.7500
O  0.5206  0.5206  0.9794
O  0.5206  0.9794  0.5206
O  0.5206  0.9794  0.9794
O  0.9794  0.5206  0.5206
O  0.9794  0.5206  0.9794
O  0.9794  0.9794  0.5206

=====

[5]
The following is a DFT calculation (PBE with a Hubbard U) of a relaxed structure of KGdSnWO6.

Computed properties:
**Energy above the most stable polymorph in this dataset**: 0.0 kJ per mole of atoms
**Calculated formation energy**: -2.4532 eV per atom
**Energy**: -155.628 eV for the cell shown
**Calculated volume**: 15.1 A^3/atom

Lattice parameters (Å, degrees): 5.9810 5.9810 8.4263 90.00 90.00 90.00
Fractional positions:
K  0.0000  0.0000  0.2500
K  0.0000  0.0000  0.7500
Gd  0.0000  0.5000  0.0000
Gd  0.5000  0.0000  0.5000
Sn  0.5000  0.5000  0.2500
Sn  0.5000  0.5000  0.7500
W  0.0000  0.5000  0.5000
W  0.5000  0.0000  0.0000
O  0.0000  0.5000  0.2691
O  0.0000  0.5000  0.7309
O  0.2383  0.2758  0.5000
O  0.2383  0.7242  0.5000
O  0.2758  0.2383  0.0000
O  0.2758  0.7617  0.0000
O  0.5000  0.0000  0.2309
O  0.5000  0.0000  0.7691
O  0.7242  0.2383  0.0000
O  0.7242  0.7617  0.0000
O  0.7617  0.2758  0.5000
O  0.7617  0.7242  0.5000

=====

[6]
The following is a DFT calculation (PBE with a Hubbard U) of a relaxed structure of KGdSnWO6.

Computed properties:
**Energy above the most stable polymorph in this dataset**: 0.8 kJ per mole of atoms
**Calculated formation energy**: -2.4448 eV per atom
**Energy**: -77.730 eV for the cell shown
**Calculated volume**: 15.0 A^3/atom

Lattice parameters (Å, degrees): 5.9699 5.9699 5.9699 60.00 60.00 60.00
Fractional positions:
K  0.0000  0.0000  0.0000
Gd  0.2500  0.2500  0.2500
Sn  0.5000  0.5000  0.5000
W  0.7500  0.7500  0.7500
O  0.5188  0.5188  0.9812
O  0.5188  0.9812  0.5188
O  0.5188  0.9812  0.9812
O  0.9812  0.5188  0.5188
O  0.9812  0.5188  0.9812
O  0.9812  0.9812  0.5188

=====

[7]
The following is a DFT calculation (PBE with a Hubbard U) of a relaxed structure of KSrGdWO6.

Computed properties:
**Energy above the most stable polymorph in this dataset**: 0.0 kJ per mole of atoms
**Calculated formation energy**: -2.9221 eV per atom
**Energy**: -320.731 eV for the cell shown
**Calculated volume**: 14.9 A^3/atom

Lattice parameters (Å, degrees): 8.3992 8.4005 8.4215 90.00 90.00 90.00
Fractional positions:
K  0.2500  0.2500  0.2500
K  0.2500  0.7500  0.2500
K  0.7500  0.2500  0.7500
K  0.7500  0.7500  0.7500
Sr  0.2500  0.2500  0.7500
Sr  0.2500  0.7500  0.7500
Sr  0.7500  0.2500  0.2500
Sr  0.7500  0.7500  0.2500
Gd  0.0000  0.0000  0.0000
Gd  0.0000  0.5000  0.5000
Gd  0.5000  0.0000  0.5000
Gd  0.5000  0.5000  0.0000
W  0.0000  0.0000  0.5000
W  0.0000  0.5000  0.0000
W  0.5000  0.0000  0.0000
W  0.5000  0.5000  0.5000
O  0.0201  0.2302  0.4769
O  0.0201  0.2698  0.0231
O  0.0338  0.0218  0.7310
O  0.0338  0.4782  0.7690
O  0.2300  0.5246  0.0144
O  0.2300  0.9754  0.4856
O  0.2700  0.5246  0.4856
O  0.2700  0.9754  0.0144
O  0.4662  0.0218  0.7690
O  0.4662  0.4782  0.7310
O  0.4799  0.2302  0.0231
O  0.4799  0.2698  0.4769
O  0.5201  0.7302  0.5231
O  0.5201  0.7698  0.9769
O  0.5338  0.5218  0.2690
O  0.5338  0.9782  0.2310
O  0.7300  0.0246  0.9856
O  0.7300  0.4754  0.5144
O  0.7700  0.0246  0.5144
O  0.7700  0.4754  0.9856
O  0.9662  0.5218  0.2310
O  0.9662  0.9782  0.2690
O  0.9799  0.7302  0.9769
O  0.9799  0.7698  0.5231

=====

[8]
The following is a DFT calculation (PBE with a Hubbard U) of a relaxed structure of KSrGdWO6.

Computed properties:
**Energy above the most stable polymorph in this dataset**: 1.0 kJ per mole of atoms
**Calculated formation energy**: -2.9112 eV per atom
**Energy**: -80.074 eV for the cell shown
**Calculated volume**: 15.1 A^3/atom

Lattice parameters (Å, degrees): 5.9712 5.9712 5.9712 60.00 60.00 60.00
Fractional positions:
K  0.0000  0.0000  0.0000
Sr  0.5000  0.5000  0.5000
Gd  0.2500  0.2500  0.2500
W  0.7500  0.7500  0.7500
O  0.5187  0.5187  0.9813
O  0.5187  0.9813  0.5187
O  0.5187  0.9813  0.9813
O  0.9813  0.5187  0.5187
O  0.9813  0.5187  0.9813
O  0.9813  0.9813  0.5187

=====

[9]
The following is a DFT calculation (PBE with a Hubbard U) of a relaxed structure of LiGdW2O8.

Computed properties:
**Calculated formation energy**: -2.5777 eV per atom
**Energy**: -98.045 eV for the cell shown
**Calculated volume**: 13.0 A^3/atom

Lattice parameters (Å, degrees): 6.7527 6.7527 6.7527 134.15 134.15 66.85
Fractional positions:
Li  0.0000  0.0000  0.0000
Gd  0.7500  0.2500  0.5000
W  0.2500  0.7500  0.5000
W  0.5000  0.5000  0.0000
O  0.0016  0.9102  0.5842
O  0.0898  0.6740  0.0913
O  0.1667  0.2534  0.5995
O  0.3260  0.4173  0.4158
O  0.4328  0.8333  0.0866
O  0.5827  0.9984  0.9087
O  0.6539  0.5672  0.4005
O  0.7466  0.3461  0.9134

=====

[10]
The following is a DFT calculation (PBE with a Hubbard U) of a relaxed structure of Gd2MgV2O8.

Computed properties:
**Calculated formation energy**: -3.0562 eV per atom
**Energy**: -118.339 eV for the cell shown
**Calculated volume**: 14.1 A^3/atom

Lattice parameters (Å, degrees): 6.1454 6.1454 6.2867 105.98 105.98 115.86
Fractional positions:
Gd  0.0000  0.0000  0.0000
Gd  0.7806  0.2194  0.5000
Mg  0.2948  0.7052  0.0000
V  0.2755  0.7245  0.5000
V  0.5572  0.4428  0.0000
O  0.0789  0.3595  0.3180
O  0.1221  0.7404  0.7114
O  0.1839  0.3224  0.8400
O  0.2596  0.8779  0.2886
O  0.5225  0.2626  0.1782
O  0.6405  0.9211  0.6820
O  0.6776  0.8161  0.1600
O  0.7374  0.4775  0.8218

=====

[11]
The following is a DFT calculation (PBE with a Hubbard U) of a relaxed structure of Gd6MgWO12.

Computed properties:
**Energy above the most stable polymorph in this dataset**: 3.5 kJ per mole of atoms
**Calculated formation energy**: -3.4515 eV per atom
**Energy**: -214.740 eV for the cell shown
**Calculated volume**: 14.0 A^3/atom

Lattice parameters (Å, degrees): 6.6428 6.6428 6.6428 99.49 99.49 99.49
Fractional positions:
Gd  0.0215  0.8355  0.2994
Gd  0.0427  0.3952  0.5621
Gd  0.2994  0.0215  0.8355
Gd  0.3952  0.5621  0.0427
Gd  0.5621  0.0427  0.3952
Gd  0.8355  0.2994  0.0215
Mg  0.4246  0.4246  0.4246
W  0.7114  0.7114  0.7114
O  0.0088  0.7747  0.6438
O  0.1160  0.2872  0.8666
O  0.1403  0.5051  0.2773
O  0.2773  0.1403  0.5051
O  0.2872  0.8666  0.1160
O  0.3919  0.6060  0.7109
O  0.5051  0.2773  0.1403
O  0.6060  0.7109  0.3919
O  0.6438  0.0088  0.7747
O  0.7109  0.3919  0.6060
O  0.7747  0.6438  0.0088
O  0.8666  0.1160  0.2872

=====

[12]
The following is a DFT calculation (PBE with a Hubbard U) of a relaxed structure of Gd6MgWO12.

Computed properties:
**Energy above the most stable polymorph in this dataset**: 0.0 kJ per mole of atoms
**Calculated formation energy**: -3.4879 eV per atom
**Energy**: -215.467 eV for the cell shown
**Calculated volume**: 14.7 A^3/atom

Lattice parameters (Å, degrees): 6.6635 6.6635 6.6635 93.14 93.14 93.14
Fractional positions:
Gd  0.0639  0.7634  0.5794
Gd  0.2366  0.4206  0.9361
Gd  0.4206  0.9361  0.2366
Gd  0.5794  0.0639  0.7634
Gd  0.7634  0.5794  0.0639
Gd  0.9361  0.2366  0.4206
Mg  0.0000  0.0000  0.0000
W  0.5000  0.5000  0.5000
O  0.0424  0.6942  0.9104
O  0.0896  0.9576  0.3058
O  0.2007  0.4321  0.5748
O  0.3058  0.0896  0.9576
O  0.4252  0.7993  0.5679
O  0.4321  0.5748  0.2007
O  0.5679  0.4252  0.7993
O  0.5748  0.2007  0.4321
O  0.6942  0.9104  0.0424
O  0.7993  0.5679  0.4252
O  0.9104  0.0424  0.6942
O  0.9576  0.3058  0.0896